Entry 1:
DFT (PBE) results for Tb2Sc3Si4 after structural relaxation.

Unit cell a=7.116 b=14.041 c=7.404 alpha=90.00 beta=90.00 gamma=90.00
Atoms (fractional coordinates):
Tb  0.012  0.097  0.174
Tb  0.012  0.403  0.174
Tb  0.488  0.597  0.674
Tb  0.488  0.903  0.674
Tb  0.512  0.097  0.326
Tb  0.512  0.403  0.326
Tb  0.988  0.597  0.826
Tb  0.988  0.903  0.826
Sc  0.161  0.750  0.503
Sc  0.170  0.125  0.676
Sc  0.170  0.375  0.676
Sc  0.330  0.625  0.176
Sc  0.330  0.875  0.176
Sc  0.339  0.250  0.003
Sc  0.661  0.750  0.997
Sc  0.670  0.125  0.824
Sc  0.670  0.375  0.824
Sc  0.830  0.625  0.324
Sc  0.830  0.875  0.324
Sc  0.839  0.250  0.497
Si  0.033  0.750  0.120
Si  0.157  0.539  0.464
Si  0.157  0.961  0.464
Si  0.214  0.250  0.376
Si  0.286  0.750  0.876
Si  0.343  0.039  0.964
Si  0.343  0.461  0.964
Si  0.467  0.250  0.620
Si  0.533  0.750  0.380
Si  0.657  0.539  0.036
Si  0.657  0.961  0.036
Si  0.714  0.250  0.124
Si  0.786  0.750  0.624
Si  0.843  0.039  0.536
Si  0.843  0.461  0.536
Si  0.967  0.250  0.880

Summary:
Space group ... Pnma

Entry 2:
DFT (PBE) results for SiAs3 after structural relaxation.

Unit cell a=5.948 b=5.948 c=5.170 alpha=90.00 beta=90.00 gamma=120.00
Atoms (fractional coordinates):
Si  0.333  0.667  0.250
Si  0.667  0.333  0.750
As  0.187  0.374  0.750
As  0.187  0.813  0.750
As  0.374  0.187  0.250
As  0.626  0.813  0.750
As  0.813  0.187  0.250
As  0.813  0.626  0.250

Summary:
Space group ... P6_3/mmc
M_tot ... 0.00 μB/cell

Entry 3:
DFT (PBE) results for KMg14Mo after structural relaxation.

Unit cell a=10.262 b=6.457 c=6.457 alpha=61.23 beta=90.00 gamma=90.00
Atoms (fractional coordinates):
K  0.000  0.000  0.000
Mg  0.000  0.004  0.497
Mg  0.000  0.497  0.004
Mg  0.237  0.659  0.659
Mg  0.251  0.181  0.650
Mg  0.251  0.650  0.181
Mg  0.265  0.170  0.170
Mg  0.500  0.498  0.498
Mg  0.500  0.503  0.993
Mg  0.500  0.993  0.503
Mg  0.500  0.996  0.996
Mg  0.735  0.170  0.170
Mg  0.749  0.181  0.650
Mg  0.749  0.650  0.181
Mg  0.763  0.659  0.659
Mo  0.000  0.489  0.489

Summary:
Space group ... Amm2
M_tot ... 2.14 μB/cell

Entry 4:
DFT (PBE) results for LaGd3Br4O4 after structural relaxation.

Unit cell a=3.951 b=9.379 c=9.379 alpha=49.86 beta=90.00 gamma=90.00
Atoms (fractional coordinates):
La  0.000  0.000  0.000
Gd  0.000  0.508  0.508
Gd  0.500  0.393  0.894
Gd  0.500  0.894  0.393
Br  0.000  0.239  0.239
Br  0.000  0.742  0.742
Br  0.500  0.169  0.646
Br  0.500  0.646  0.169
O  0.000  0.329  0.823
O  0.000  0.823  0.329
O  0.500  0.075  0.075
O  0.500  0.576  0.576

Summary:
Space group ... Amm2
M_tot ... 21.01 μB/cell

no.,ΔH_f (0 K) (eV/atom),final energy (eV per atom)
1,-0.80,-6.3862
2,0.52,-4.3286
3,0.24,-1.9121
4,-3.15,-9.0503